Entry 1:
FeS: relaxed, PBE-GGA.

Unit cell a=6.7323 b=6.7323 c=5.3671 alpha=90.00 beta=90.00 gamma=120.00
Space group P6_3mc (No. 186)
Asymmetric unit:
Fe1 0.0000 0.0000 0.0000 x2
Fe2 0.0589 0.5294 0.0387 x6
S1 0.1655 0.3311 0.7770 x6
S2 0.3333 0.6667 0.3357 x2

Entry 2:
Fe7S8: relaxed, PBE-GGA.

Unit cell a=11.2344 b=6.6779 c=11.5293 alpha=90.00 beta=115.66 gamma=90.00
Space group C2/c (No. 15)
Asymmetric unit:
Fe1 0.0000 0.1979 0.2500 x4
Fe2 0.0893 0.3071 0.9700 x8
Fe3 0.1056 0.1040 0.4992 x8
Fe4 0.2239 0.3958 0.2296 x8
S1 0.0114 0.4030 0.1100 x8
S2 0.0423 0.0934 0.6538 x8
S3 0.2271 0.1493 0.3707 x8
S4 0.2347 0.3614 0.8824 x8

Excess energy over the best structure of this formula in the dataset (meV per atom): 0

Entry 3:
Fe3S4: relaxed, PBE-GGA.

Unit cell a=22.9839 b=3.2981 c=5.4864 alpha=90.00 beta=95.60 gamma=90.00
Space group C2/m (No. 12)
Asymmetric unit:
Fe1 0.1300 0.0000 0.2630 x4
Fe2 0.1366 0.5000 0.6752 x4
Fe3 0.2476 0.0000 0.2022 x4
S1 0.0729 0.5000 0.3553 x4
S2 0.0885 0.0000 0.8572 x4
S3 0.1856 0.5000 0.0623 x4
S4 0.2015 0.0000 0.5662 x4

Entry 4:
Fe3S4: relaxed, PBE-GGA.

Unit cell a=9.4830 b=9.4830 c=9.4830 alpha=90.00 beta=90.00 gamma=90.00
Space group Fd-3m (No. 227, origin choice 2)
Asymmetric unit:
Fe1 0.0000 0.0000 0.0000 x16
Fe2 0.1250 0.1250 0.6250 x8
S1 0.0051 0.0051 0.2449 x32

Entry 5:
Fe3S4: relaxed, PBE-GGA.

Unit cell a=3.3245 b=3.3245 c=33.7215 alpha=90.00 beta=90.00 gamma=120.00
Space group R-3m (No. 166, hexagonal axes)
Asymmetric unit:
Fe1 0.0000 0.0000 0.0000 x3
Fe2 0.0000 0.0000 0.0773 x6
S1 0.0000 0.0000 0.2215 x6
S2 0.0000 0.0000 0.3690 x6

Entry 6:
Fe2S: relaxed, PBE-GGA.

Unit cell a=9.7769 b=3.0034 c=17.8448 alpha=90.00 beta=96.88 gamma=90.00
Space group Cm (No. 8)
Asymmetric unit:
Fe1 0.0000 0.0000 0.0000 x2
Fe2 0.9997 0.0000 0.3876 x2
Fe3 0.0666 0.5000 0.1413 x2
Fe4 0.1261 0.0000 0.6960 x2
Fe5 0.1474 0.0000 0.2856 x2
Fe6 0.1931 0.5000 0.8278 x2
Fe7 0.2304 0.5000 0.4342 x2
Fe8 0.2656 0.0000 0.9686 x2
Fe9 0.2703 0.0000 0.5952 x2
Fe10 0.3404 0.5000 0.7035 x2
Fe11 0.3551 0.5000 0.1175 x2
Fe12 0.4145 0.0000 0.8585 x2
Fe13 0.4306 0.0000 0.2587 x2
Fe14 0.4420 0.0000 0.5016 x2
S1 0.0152 0.0000 0.7949 x2
S2 0.1026 0.5000 0.9374 x2
S3 0.1084 0.0000 0.5030 x2
S4 0.1893 0.0000 0.0807 x2
S5 0.2586 0.5000 0.2255 x2
S6 0.3372 0.0000 0.3716 x2
S7 0.4912 0.0000 0.6316 x2

Excess energy over the best structure of this formula in the dataset (meV per atom): 29

Entry 7:
Fe7S8: relaxed, PBE-GGA.

Unit cell a=6.6448 b=6.6448 c=15.7744 alpha=90.00 beta=90.00 gamma=120.00
Space group P3_1 (No. 144)
Asymmetric unit:
Fe1 0.0000 0.9520 0.1453 x3
Fe2 0.0101 0.5417 0.6408 x3
Fe3 0.0125 0.9622 0.6492 x3
Fe4 0.0370 0.4698 0.9827 x3
Fe5 0.4750 0.0447 0.4734 x3
Fe6 0.4748 0.4726 0.4881 x3
Fe7 0.4794 0.4725 0.6667 x3
S1 0.1595 0.8345 0.5530 x3
S2 0.1613 0.3574 0.2423 x3
S3 0.1644 0.3302 0.5776 x3
S4 0.3139 0.6495 0.7352 x3
S5 0.3172 0.1434 0.7416 x3
S6 0.3336 0.1939 0.3826 x3
S7 0.3526 0.1714 0.0719 x3
S8 0.6453 0.3263 0.5758 x3

Excess energy over the best structure of this formula in the dataset (meV per atom): 39

Entry 8:
Fe7S8: relaxed, PBE-GGA.

Unit cell a=5.7398 b=6.1505 c=11.1720 alpha=96.65 beta=90.03 gamma=90.01
Space group P1 (No. 1)
Asymmetric unit:
Fe1 0.0000 0.0000 0.0000 x1
Fe2 0.0023 0.8480 0.6273 x1
Fe3 0.0161 0.6025 0.8932 x1
Fe4 0.0265 0.7399 0.2676 x1
Fe5 0.4751 0.7402 0.7675 x1
Fe6 0.4821 0.6017 0.3919 x1
Fe7 0.4964 0.8487 0.1278 x1
Fe8 0.4995 0.9996 0.5003 x1
Fe9 0.5020 0.1508 0.8730 x1
Fe10 0.5168 0.3975 0.6082 x1
Fe11 0.5259 0.2591 0.2323 x1
Fe12 0.9740 0.2580 0.7325 x1
Fe13 0.9829 0.3969 0.1078 x1
Fe14 0.9976 0.1505 0.3733 x1
S1 0.1628 0.2887 0.9258 x1
S2 0.1672 0.5538 0.6844 x1
S3 0.1687 0.8193 0.4492 x1
S4 0.1722 0.0678 0.1887 x1
S5 0.3278 0.0682 0.6886 x1
S6 0.3301 0.8179 0.9488 x1
S7 0.3343 0.5534 0.1842 x1
S8 0.3377 0.2888 0.4263 x1
S9 0.6619 0.7092 0.5747 x1
S10 0.6644 0.4451 0.8148 x1
S11 0.6690 0.1797 0.0512 x1
S12 0.6719 0.9323 0.3117 x1
S13 0.8268 0.9313 0.8117 x1
S14 0.8296 0.1810 0.5516 x1
S15 0.8333 0.4451 0.3163 x1
S16 0.8363 0.7108 0.0742 x1

Excess energy over the best structure of this formula in the dataset (meV per atom): 40

Let's list DFT formation energy in order: -0.49; -0.65; -0.62; -0.66; -0.58; -0.18; -0.61; -0.61 eV per atom.
Let's list ρ in order: 5.54; 5.52; 4.75; 4.61; 4.57; 6.42; 5.35; 5.49 Mg/m³.
Let's list energy in order: -6.54; -6.54; -6.33; -6.37; -6.29; -7.04; -6.50; -6.50 eV/atom.